Entry from the Materials Project database: a relaxed structure of Pr3Ag4Ge4 (GGA-PBE).

The structure in POSCAR format:
```
Pr3Ag4Ge4
1.0
4.491 0.000 0.000
0.000 7.241 0.000
-2.246 -3.620 7.450
Ag Pr Ge
4 3 4
Direct
0.331 0.637 0.663 Ag
0.669 0.974 0.337 Ag
0.331 0.026 0.663 Ag
0.669 0.363 0.337 Ag
0.128 0.628 0.256 Pr
0.000 0.000 0.000 Pr
0.872 0.372 0.744 Pr
0.500 0.681 0.000 Ge
0.217 0.217 0.433 Ge
0.500 0.319 0.000 Ge
0.783 0.783 0.567 Ge
```

Properties
For the raw total energy, the calculation gives -50.24 eV per formula unit. The value obtained for the formation energy is -0.55 eV/atom. The crystal system is orthorhombic.